Tb9Al5S21 (meta-GGA r2SCAN, optimized geometry); energy of formation = -69.90 eV per formula unit; total DFT energy (no corrections) = -15.809 eV/atom
1.0
7.7748 -8.3585 0.0607
7.7749 8.3585 0.0606
-1.2991 0.0001 11.3415
S Al Tb
42 10 18
Direct
0.3392 0.6726 0.0075
0.6910 0.2051 0.1067
0.1541 0.2848 0.3806
0.8688 0.7838 0.3532
0.2051 0.1067 0.6910
0.8132 0.2979 0.3838
0.8936 0.7633 0.6669
0.2382 0.1024 0.9996
0.6726 0.0075 0.3392
0.7986 0.9435 0.0421
0.5087 0.1716 0.8393
0.7185 0.1591 0.6284
0.6226 0.7291 0.4906
0.3118 0.5550 0.4136
0.3838 0.8132 0.2979
0.1067 0.6910 0.2051
0.8393 0.5087 0.1716
0.4906 0.6226 0.7291
0.4775 0.9631 0.0631
0.1024 0.9996 0.2382
0.1591 0.6284 0.7185
0.0075 0.3392 0.6726
0.1716 0.8393 0.5087
0.7633 0.6669 0.8936
0.7838 0.3532 0.8688
0.9435 0.0421 0.7986
0.6284 0.7185 0.1591
0.3532 0.8688 0.7838
0.3806 0.1541 0.2848
0.9996 0.2382 0.1024
0.0631 0.4775 0.9631
0.0421 0.7986 0.9435
0.9631 0.0631 0.4775
0.0075 0.5405 0.4476
0.7291 0.4906 0.6226
0.4476 0.0075 0.5405
0.5550 0.4136 0.3118
0.5405 0.4476 0.0075
0.4136 0.3118 0.5550
0.2979 0.3838 0.8132
0.2848 0.3806 0.1541
0.6669 0.8936 0.7633
0.5480 0.8831 0.2241
0.3587 0.3587 0.3587
0.3875 0.0473 0.7204
0.7204 0.3875 0.0473
0.6776 0.6776 0.6776
0.8602 0.8602 0.8602
0.8831 0.2241 0.5480
0.0473 0.7204 0.3875
0.1765 0.1765 0.1765
0.2241 0.5480 0.8831
0.7374 0.1146 0.8823
0.0691 0.4536 0.2251
0.1146 0.8823 0.7374
0.4536 0.2251 0.0691
0.7740 0.9305 0.5464
0.5522 0.3965 0.7662
0.9305 0.5464 0.7740
0.8751 0.0984 0.2455
0.5858 0.2086 0.4326
0.3965 0.7662 0.5522
0.8823 0.7374 0.1146
0.5464 0.7740 0.9305
0.2251 0.0691 0.4536
0.7662 0.5522 0.3965
0.0984 0.2455 0.8751
0.2086 0.4326 0.5858
0.2455 0.8751 0.0984
0.4326 0.5858 0.2086

Al7Tl3S12 (meta-GGA r2SCAN, optimized geometry); energy of formation = -25.36 eV per formula unit; total DFT energy (no corrections) = -14.929 eV/atom
1.0
12.4579 0.0000 0.0000
0.0000 9.1235 -0.0065
0.0000 1.0193 9.5822
Tl Al S
6 14 24
Direct
0.5252 0.3803 0.8347
0.0277 0.1202 0.2316
0.5277 0.8798 0.7684
0.0252 0.6197 0.1653
0.2513 0.0382 0.4785
0.7513 0.9618 0.5215
0.5139 0.3699 0.3599
0.7665 0.4801 0.4800
0.2665 0.5199 0.5200
0.6718 0.6675 0.1746
0.2846 0.0316 0.0291
0.0388 0.9806 0.7991
0.8722 0.3048 0.8213
0.3722 0.6952 0.1787
0.5388 0.0194 0.2009
0.0139 0.6301 0.6401
0.7658 0.2886 0.1934
0.7846 0.9684 0.9709
0.2658 0.7114 0.8066
0.1718 0.3325 0.8254
0.3088 0.3274 0.6773
0.2446 0.8610 0.2064
0.8963 0.3552 0.0424
0.7446 0.1390 0.7936
0.8088 0.6726 0.3227
0.3458 0.4731 0.3116
0.9938 0.8753 0.6086
0.0278 0.2259 0.7271
0.3311 0.7283 0.5913
0.5919 0.4717 0.5318
0.2040 0.2465 0.0464
0.0919 0.5283 0.4682
0.2209 0.9510 0.8256
0.5278 0.7741 0.2729
0.7040 0.7535 0.9536
0.8311 0.2717 0.4087
0.4938 0.1247 0.3914
0.9608 0.9278 0.0055
0.8458 0.5269 0.6884
0.4608 0.0722 0.9945
0.7209 0.0490 0.1744
0.3963 0.6448 0.9576
0.6133 0.4283 0.1583
0.1133 0.5717 0.8417

AlV4S8 (meta-GGA r2SCAN, optimized geometry); energy of formation = -15.26 eV per formula unit; total DFT energy (no corrections) = -10.971 eV/atom; relative energy among the computed polymorphs = 3 meV per atom
1.0
-0.0165 4.8887 4.8886
4.8952 0.0101 4.8621
4.8953 4.8623 0.0099
S V Al
8 4 1
Direct
0.3792 0.3699 0.8778
0.8800 0.3756 0.3757
0.8642 0.8668 0.8669
0.8644 0.8678 0.4017
0.8643 0.4018 0.8677
0.3791 0.8779 0.3697
0.3772 0.3705 0.3705
0.4015 0.8663 0.8664
0.1658 0.6135 0.6135
0.6078 0.1787 0.6030
0.6063 0.6087 0.6087
0.6077 0.6030 0.1790
0.0025 0.9995 0.9994

AlV4S8 (meta-GGA r2SCAN, optimized geometry); energy of formation = -15.29 eV per formula unit; total DFT energy (no corrections) = -10.974 eV/atom; relative energy among the computed polymorphs = 0 meV per atom
1.0
-0.0084 4.8773 4.8505
4.8959 -0.0270 4.8689
4.8689 4.8689 0.0000
S V Al
8 4 1
Direct
0.8660 0.8648 0.8680
0.8767 0.3767 0.3733
0.3827 0.8830 0.3672
0.8646 0.4041 0.8656
0.8660 0.8648 0.4012
0.4018 0.8636 0.8673
0.3790 0.3742 0.8800
0.3790 0.3742 0.3668
0.1702 0.6135 0.6082
0.6017 0.6060 0.1832
0.6017 0.6060 0.6092
0.6132 0.1673 0.6098
0.9975 0.0018 0.0004

Sr5Al2Sb6 (meta-GGA r2SCAN, optimized geometry); energy of formation = -12.54 eV per formula unit; total DFT energy (no corrections) = -19.690 eV/atom
1.0
10.4203 0.0000 0.0000
0.0000 12.2169 0.0000
0.0000 0.0000 13.5161
Sr Sb Al
20 24 8
Direct
0.2500 0.1621 0.8145
0.5256 0.4200 0.7374
0.4781 0.6696 0.9654
0.9744 0.9200 0.7626
0.4744 0.0800 0.2374
0.7500 0.8379 0.1855
0.5219 0.3304 0.0346
0.9744 0.4200 0.7374
0.7500 0.3379 0.3145
0.0219 0.6696 0.9654
0.5219 0.8304 0.4654
0.2500 0.6621 0.6855
0.4781 0.1696 0.5346
0.4744 0.5800 0.2626
0.0256 0.5800 0.2626
0.0219 0.1696 0.5346
0.9781 0.8304 0.4654
0.5256 0.9200 0.7626
0.9781 0.3304 0.0346
0.0256 0.0800 0.2374
0.2500 0.9542 0.6214
0.2500 0.8554 0.8786
0.4432 0.3267 0.3292
0.2500 0.6485 0.4355
0.0568 0.8267 0.1708
0.2500 0.1485 0.0645
0.2500 0.3554 0.6214
0.7500 0.0458 0.3786
0.5568 0.6733 0.6708
0.7500 0.5458 0.1214
0.9432 0.6733 0.6708
0.7500 0.1446 0.1214
0.7500 0.8515 0.9355
0.0568 0.3267 0.3292
0.7500 0.0001 0.5898
0.9432 0.1733 0.8292
0.2500 0.4542 0.8786
0.4432 0.8267 0.1708
0.2500 0.4999 0.0898
0.7500 0.6446 0.3786
0.7500 0.3515 0.5645
0.5568 0.1733 0.8292
0.7500 0.5001 0.9102
0.2500 0.9999 0.4102
0.2500 0.4212 0.4333
0.2500 0.9212 0.0667
0.2500 0.8103 0.2996
0.7500 0.1897 0.7004
0.7500 0.0788 0.9333
0.7500 0.6897 0.7996
0.2500 0.3103 0.2004
0.7500 0.5788 0.5667

AlV6Sb (meta-GGA r2SCAN, optimized geometry); energy of formation = -1.65 eV per formula unit; total DFT energy (no corrections) = -14.828 eV/atom
1.0
4.8568 0.0000 0.0000
0.0000 4.8568 0.0000
0.0000 0.0000 4.8568
V Sb Al
6 1 1
Direct
0.2626 0.0000 0.5000
0.7374 0.0000 0.5000
0.5000 0.7374 0.0000
0.0000 0.5000 0.7375
0.5000 0.2626 0.0000
0.0000 0.5000 0.2625
0.0000 0.0000 0.0000
0.5000 0.5000 0.5000

Question: energy of formation of number 6 (AlV6Sb)?
Answer: -1.65 eV per formula unit

Question: Among the records above, which one has the lowest energy of formation?
Answer: Tb9Al5S21

Question: Which value of energy of formation does entry 1 give?
Answer: -69.90 eV per formula unit